[1]
Material: AlBiBr6
Method: DFT, meta-GGA r2SCAN
State: optimized geometry

Cell lengths 7.8648, 7.8767, 9.8098 Å; angles 102.45, 104.37, 98.83 degrees
Positions (direct):
Al (0.1844, 0.2867, 0.3472)
Al (0.8156, 0.7133, 0.6528)
Bi (0.3053, 0.4824, 0.7952)
Bi (0.6947, 0.5176, 0.2048)
Br (0.0472, 0.2991, 0.8595)
Br (0.1182, 0.8046, 0.7907)
Br (0.2373, 0.1506, 0.5388)
Br (0.2538, 0.5854, 0.4593)
Br (0.3513, 0.1943, 0.1955)
Br (0.4326, 0.6987, 0.0908)
Br (0.5674, 0.3013, 0.9092)
Br (0.6487, 0.8057, 0.8045)
Br (0.7462, 0.4146, 0.5407)
Br (0.7627, 0.8494, 0.4612)
Br (0.8818, 0.1954, 0.2093)
Br (0.9528, 0.7009, 0.1405)

- Crystal system: triclinic
- Formation energy from the elements: -8.46 eV per formula unit

---

[2]
Material: Ho2Ni2Pb
Method: DFT, meta-GGA r2SCAN
State: optimized geometry

Cell lengths 7.3161, 7.3161, 3.6337 Å; angles 90.00, 90.00, 148.52 degrees
Positions (direct):
Ho (0.1408, 0.8592, 0.0000)
Ho (0.8592, 0.1408, 0.0000)
Ni (0.2987, 0.7013, 0.5000)
Ni (0.7013, 0.2987, 0.5000)
Pb (0.5000, 0.5000, 0.5000)

- Crystal system: orthorhombic
- Formation energy from the elements: -2.75 eV per formula unit

---

[3]
Material: In4Ag9
Method: DFT, meta-GGA r2SCAN
State: optimized geometry

Cell lengths 9.9398, 9.9398, 9.9398 Å; angles 90.00, 90.00, 90.00 degrees
Positions (direct):
In (0.0343, 0.3100, 0.3100)
In (0.0343, 0.6900, 0.6900)
In (0.3100, 0.0343, 0.3100)
In (0.3100, 0.3100, 0.0343)
In (0.3100, 0.6900, 0.9657)
In (0.3100, 0.9657, 0.6900)
In (0.3777, 0.3777, 0.6223)
In (0.3777, 0.6223, 0.3777)
In (0.6223, 0.3777, 0.3777)
In (0.6223, 0.6223, 0.6223)
In (0.6900, 0.0343, 0.6900)
In (0.6900, 0.3100, 0.9657)
In (0.6900, 0.6900, 0.0343)
In (0.6900, 0.9657, 0.3100)
In (0.9657, 0.3100, 0.6900)
In (0.9657, 0.6900, 0.3100)
Ag (0.0000, 0.0000, 0.3561)
Ag (0.0000, 0.0000, 0.6439)
Ag (0.0000, 0.3561, 0.0000)
Ag (0.0000, 0.6439, 0.0000)
Ag (0.1048, 0.1048, 0.1048)
Ag (0.1048, 0.8952, 0.8952)
Ag (0.1432, 0.5000, 0.5000)
Ag (0.1750, 0.1750, 0.8250)
Ag (0.1750, 0.8250, 0.1750)
Ag (0.1827, 0.1827, 0.5297)
Ag (0.1827, 0.4703, 0.8173)
Ag (0.1827, 0.5297, 0.1827)
Ag (0.1827, 0.8173, 0.4703)
Ag (0.3295, 0.3295, 0.3295)
Ag (0.3295, 0.6705, 0.6705)
Ag (0.3561, 0.0000, 0.0000)
Ag (0.4703, 0.1827, 0.8173)
Ag (0.4703, 0.8173, 0.1827)
Ag (0.5000, 0.1432, 0.5000)
Ag (0.5000, 0.5000, 0.1432)
Ag (0.5000, 0.5000, 0.8568)
Ag (0.5000, 0.8568, 0.5000)
Ag (0.5297, 0.1827, 0.1827)
Ag (0.5297, 0.8173, 0.8173)
Ag (0.6439, 0.0000, 0.0000)
Ag (0.6705, 0.3295, 0.6705)
Ag (0.6705, 0.6705, 0.3295)
Ag (0.8173, 0.1827, 0.4703)
Ag (0.8173, 0.4703, 0.1827)
Ag (0.8173, 0.5297, 0.8173)
Ag (0.8173, 0.8173, 0.5297)
Ag (0.8250, 0.1750, 0.1750)
Ag (0.8250, 0.8250, 0.8250)
Ag (0.8568, 0.5000, 0.5000)
Ag (0.8952, 0.1048, 0.8952)
Ag (0.8952, 0.8952, 0.1048)

- Crystal system: cubic
- Formation energy from the elements: -0.71 eV per formula unit

---

[4]
Material: SmInCu2
Method: DFT, meta-GGA r2SCAN
State: optimized geometry

Cell lengths 4.7203, 4.7203, 4.7203 Å; angles 60.00, 60.00, 60.00 degrees
Positions (direct):
Sm (0.0000, 0.0000, 0.0000)
In (0.5000, 0.5000, 0.5000)
Cu (0.2500, 0.2500, 0.2500)
Cu (0.7500, 0.7500, 0.7500)

- Crystal system: cubic
- Formation energy from the elements: -1.41 eV per formula unit

---

[5]
Material: SeS7
Method: DFT, meta-GGA r2SCAN
State: optimized geometry

Cell lengths 4.8476, 9.3991, 15.1122 Å; angles 89.98, 89.79, 89.96 degrees
Positions (direct):
Se (0.0000, 0.0000, 0.0000)
Se (0.0084, 0.3589, 0.9989)
Se (0.5209, 0.5017, 0.2733)
S (0.0067, 0.6791, 0.1112)
S (0.0065, 0.9901, 0.7707)
S (0.0094, 0.3698, 0.7699)
S (0.0104, 0.6804, 0.6631)
S (0.2364, 0.5494, 0.7441)
S (0.2414, 0.9486, 0.8797)
S (0.2423, 0.5544, 0.0295)
S (0.2745, 0.4545, 0.3931)
S (0.2774, 0.0496, 0.5266)
S (0.2814, 0.0480, 0.2473)
S (0.5029, 0.8705, 0.4978)
S (0.5075, 0.1785, 0.6075)
S (0.5077, 0.8699, 0.2771)
S (0.5122, 0.4910, 0.5022)
S (0.5139, 0.1758, 0.1656)
S (0.7360, 0.3099, 0.5271)
S (0.7375, 0.9133, 0.3877)
S (0.7492, 0.3033, 0.2451)
S (0.7665, 0.8044, 0.0320)
S (0.7694, 0.4095, 0.8786)
S (0.7795, 0.8112, 0.7432)

- Crystal system: triclinic
- Formation energy from the elements: 0.15 eV per formula unit

---

[6]
Material: RbF3
Method: DFT, meta-GGA r2SCAN
State: optimized geometry

Cell lengths 4.3965, 6.9399, 9.3774 Å; angles 90.00, 90.12, 90.00 degrees
Positions (direct):
Rb (0.1133, 0.0000, 0.1194)
Rb (0.3840, 0.0323, 0.6192)
Rb (0.6160, 0.5323, 0.3808)
Rb (0.8867, 0.5000, 0.8806)
F (0.0487, 0.4060, 0.1725)
F (0.0917, 0.7921, 0.4166)
F (0.1882, 0.4592, 0.6226)
F (0.3125, 0.5730, 0.1226)
F (0.4087, 0.2400, 0.9175)
F (0.4522, 0.6264, 0.6719)
F (0.5478, 0.1264, 0.3281)
F (0.5913, 0.7400, 0.0825)
F (0.6875, 0.0730, 0.8774)
F (0.8118, 0.9592, 0.3774)
F (0.9083, 0.2921, 0.5834)
F (0.9513, 0.9060, 0.8275)

- Crystal system: monoclinic
- Formation energy from the elements: -6.18 eV per formula unit

---

[7]
Material: Ce2Si7Rh15
Method: DFT, meta-GGA r2SCAN
State: optimized geometry

Cell lengths 8.8490, 8.8490, 8.8490 Å; angles 90.00, 90.00, 90.00 degrees
Positions (direct):
Ce (0.0000, 0.0000, 0.0000)
Ce (0.0000, 0.5000, 0.5000)
Ce (0.5000, 0.0000, 0.5000)
Ce (0.5000, 0.5000, 0.0000)
Si (0.0000, 0.0000, 0.3653)
Si (0.0000, 0.0000, 0.6347)
Si (0.0000, 0.3653, 0.0000)
Si (0.0000, 0.6347, 0.0000)
Si (0.2866, 0.2866, 0.2866)
Si (0.2866, 0.2866, 0.7134)
Si (0.2866, 0.7134, 0.2866)
Si (0.2866, 0.7134, 0.7134)
Si (0.3653, 0.0000, 0.0000)
Si (0.6347, 0.0000, 0.0000)
Si (0.7134, 0.2866, 0.2866)
Si (0.7134, 0.2866, 0.7134)
Si (0.7134, 0.7134, 0.2866)
Si (0.7134, 0.7134, 0.7134)
Rh (0.0000, 0.2375, 0.2375)
Rh (0.0000, 0.2375, 0.7625)
Rh (0.0000, 0.7625, 0.2375)
Rh (0.0000, 0.7625, 0.7625)
Rh (0.1771, 0.1771, 0.5000)
Rh (0.1771, 0.5000, 0.1771)
Rh (0.1771, 0.5000, 0.8229)
Rh (0.1771, 0.8229, 0.5000)
Rh (0.2375, 0.0000, 0.2375)
Rh (0.2375, 0.0000, 0.7625)
Rh (0.2375, 0.2375, 0.0000)
Rh (0.2375, 0.7625, 0.0000)
Rh (0.2732, 0.5000, 0.5000)
Rh (0.5000, 0.1771, 0.1771)
Rh (0.5000, 0.1771, 0.8229)
Rh (0.5000, 0.2732, 0.5000)
Rh (0.5000, 0.5000, 0.2732)
Rh (0.5000, 0.5000, 0.7268)
Rh (0.5000, 0.7268, 0.5000)
Rh (0.5000, 0.8229, 0.1771)
Rh (0.5000, 0.8229, 0.8229)
Rh (0.7268, 0.5000, 0.5000)
Rh (0.7625, 0.0000, 0.2375)
Rh (0.7625, 0.0000, 0.7625)
Rh (0.7625, 0.2375, 0.0000)
Rh (0.7625, 0.7625, 0.0000)
Rh (0.8229, 0.1771, 0.5000)
Rh (0.8229, 0.5000, 0.1771)
Rh (0.8229, 0.5000, 0.8229)
Rh (0.8229, 0.8229, 0.5000)

- Crystal system: cubic
- Formation energy from the elements: -21.78 eV per formula unit

---

[8]
Material: LiV2F5
Method: DFT, meta-GGA r2SCAN
State: optimized geometry

Cell lengths 5.3723, 5.3723, 10.1332 Å; angles 90.00, 90.00, 135.15 degrees
Positions (direct):
Li (0.1800, 0.8200, 0.7500)
Li (0.8200, 0.1800, 0.2500)
V (0.1442, 0.8558, 0.0645)
V (0.1442, 0.8558, 0.4355)
V (0.8558, 0.1442, 0.5645)
V (0.8558, 0.1442, 0.9355)
F (0.0548, 0.9452, 0.6183)
F (0.0548, 0.9452, 0.8817)
F (0.2385, 0.7615, 0.2500)
F (0.3234, 0.6766, 0.5551)
F (0.3234, 0.6766, 0.9449)
F (0.6766, 0.3234, 0.0551)
F (0.6766, 0.3234, 0.4449)
F (0.7615, 0.2385, 0.7500)
F (0.9452, 0.0548, 0.1183)
F (0.9452, 0.0548, 0.3817)

- Crystal system: orthorhombic
- Formation energy from the elements: -23.79 eV per formula unit

---

Values for spin magnetization, μB/cell, ordered as above
0.00, 0.00, 0.00, 0.00, 0.00, 0.00, 0.00, 12.00